Computed, not measured: an optimized crystal structure of Li4Y3FeO8 at the GGA+U level of DFT.

Geometry as CIF:
```
data_Li4Y3FeO8
_cell_length_a 6.1974
_cell_length_b 10.1217
_cell_length_c 12.3717
_cell_angle_alpha 90.00
_cell_angle_beta 90.00
_cell_angle_gamma 90.00
_space_group_name_H-M_alt 'P 1'
_space_group_IT_number 1
_space_group_name_Hall 'P 1'
loop_
_atom_site_label
_atom_site_type_symbol
_atom_site_fract_x
_atom_site_fract_y
_atom_site_fract_z
Li1 Li 0.5000 0.0000 0.5000
Li2 Li 0.5000 0.5000 0.7500
Li3 Li 0.5000 0.0000 0.0000
Li4 Li 0.5000 0.5000 0.2500
Li5 Li 0.0000 0.5000 0.5000
Li6 Li 0.0000 0.0000 0.7500
Li7 Li 0.0000 0.5000 0.0000
Li8 Li 0.0000 0.0000 0.2500
Li9 Li 0.7486 0.7500 0.6250
Li10 Li 0.7486 0.2500 0.8750
Li11 Li 0.7486 0.7500 0.1250
Li12 Li 0.7486 0.2500 0.3750
Li13 Li 0.2514 0.2500 0.6250
Li14 Li 0.2514 0.7500 0.8750
Li15 Li 0.2514 0.2500 0.1250
Li16 Li 0.2514 0.7500 0.3750
Y1 Y 0.5000 0.0000 0.7500
Y2 Y 0.5000 0.5000 0.0000
Y3 Y 0.5000 0.0000 0.2500
Y4 Y 0.5000 0.5000 0.5000
Y5 Y 0.7574 0.7500 0.3750
Y6 Y 0.7574 0.2500 0.6250
Y7 Y 0.7574 0.7500 0.8750
Y8 Y 0.7574 0.2500 0.1250
Y9 Y 0.2426 0.2500 0.3750
Y10 Y 0.2426 0.7500 0.6250
Y11 Y 0.2426 0.2500 0.8750
Y12 Y 0.2426 0.7500 0.1250
Fe1 Fe 0.0000 0.5000 0.2500
Fe2 Fe 0.0000 0.0000 0.5000
Fe3 Fe 0.0000 0.5000 0.7500
Fe4 Fe 0.0000 0.0000 0.0000
O1 O 0.5000 0.7234 0.5000
O2 O 0.5000 0.2234 0.7500
O3 O 0.5000 0.7234 0.0000
O4 O 0.5000 0.2234 0.2500
O5 O 0.5000 0.2766 0.5000
O6 O 0.5000 0.7766 0.7500
O7 O 0.5000 0.2766 0.0000
O8 O 0.5000 0.7766 0.2500
O9 O 0.0000 0.2086 0.5000
O10 O 0.0000 0.7086 0.7500
O11 O 0.0000 0.2086 0.0000
O12 O 0.0000 0.7086 0.2500
O13 O 0.0000 0.7914 0.5000
O14 O 0.0000 0.2914 0.7500
O15 O 0.0000 0.7914 0.0000
O16 O 0.0000 0.2914 0.2500
O17 O 0.7621 0.5176 0.3711
O18 O 0.7621 0.0176 0.6211
O19 O 0.7621 0.5176 0.8711
O20 O 0.7621 0.0176 0.1211
O21 O 0.7621 0.9824 0.3789
O22 O 0.7621 0.4824 0.6289
O23 O 0.7621 0.9824 0.8789
O24 O 0.7621 0.4824 0.1289
O25 O 0.2379 0.0176 0.3789
O26 O 0.2379 0.5176 0.6289
O27 O 0.2379 0.0176 0.8789
O28 O 0.2379 0.5176 0.1289
O29 O 0.2379 0.4824 0.3711
O30 O 0.2379 0.9824 0.6211
O31 O 0.2379 0.4824 0.8711
O32 O 0.2379 0.9824 0.1211
```

Values from the calculation:
* formation enthalpy at 0 K: -2.89 eV/atom
* E (MP2020): -7.580 eV per atom
* E_tot: -7.10 eV/atom
* spin magnetization: 0.000 μB per formula unit

=====

Computed, not measured: an optimized crystal structure of NiH15IO12 at the GGA+U level of DFT.

Geometry as CIF:
```
data_NiH15IO12
_cell_length_a 9.8288
_cell_length_b 5.1868
_cell_length_c 10.6567
_cell_angle_alpha 63.92
_cell_angle_beta 90.00
_cell_angle_gamma 90.00
_space_group_name_H-M_alt 'P 1'
_space_group_IT_number 1
_space_group_name_Hall 'P 1'
loop_
_atom_site_label
_atom_site_type_symbol
_atom_site_fract_x
_atom_site_fract_y
_atom_site_fract_z
Ni1 Ni 0.2865 0.0393 0.2521
Ni2 Ni 0.7135 0.0393 0.7521
H1 H 0.1299 0.9977 0.5316
H2 H 0.8701 0.9977 0.0316
H3 H 0.3125 0.5030 0.6671
H4 H 0.6875 0.5030 0.1671
H5 H 0.1172 0.5164 0.8224
H6 H 0.8828 0.5164 0.3224
H7 H 0.0711 0.7180 0.3924
H8 H 0.9289 0.7180 0.8924
H9 H 0.2028 0.5741 0.4818
H10 H 0.7972 0.5741 0.9818
H11 H 0.0554 0.2923 0.2583
H12 H 0.9446 0.2923 0.7583
H13 H 0.1644 0.5498 0.1868
H14 H 0.8356 0.5498 0.6868
H15 H 0.4944 0.3496 0.0984
H16 H 0.5056 0.3496 0.5984
H17 H 0.3626 0.5294 0.0207
H18 H 0.6374 0.5294 0.5207
H19 H 0.5135 0.7593 0.2348
H20 H 0.4865 0.7593 0.7348
H21 H 0.4049 0.5154 0.3216
H22 H 0.5951 0.5154 0.8216
H23 H 0.5070 0.0516 0.3984
H24 H 0.4930 0.0516 0.8984
H25 H 0.3766 0.0206 0.4938
H26 H 0.6234 0.0206 0.9938
H27 H 0.0786 0.0324 0.0911
H28 H 0.9214 0.0324 0.5911
H29 H 0.2211 0.9840 0.0266
H30 H 0.7789 0.9840 0.5266
I1 I 0.2180 0.0054 0.7501
I2 I 0.7820 0.0054 0.2501
O1 O 0.0980 0.1087 0.5815
O2 O 0.9020 0.1087 0.0815
O3 O 0.1019 0.2275 0.7963
O4 O 0.8981 0.2275 0.2963
O5 O 0.3274 0.9107 0.9053
O6 O 0.6726 0.9107 0.4053
O7 O 0.3263 0.8146 0.6728
O8 O 0.6737 0.8146 0.1728
O9 O 0.3269 0.3521 0.6323
O10 O 0.6731 0.3521 0.1323
O11 O 0.0995 0.6757 0.8510
O12 O 0.9005 0.6757 0.3510
O13 O 0.1617 0.7614 0.4207
O14 O 0.8383 0.7614 0.9207
O15 O 0.1552 0.3433 0.2486
O16 O 0.8448 0.3433 0.7486
O17 O 0.3964 0.3327 0.0811
O18 O 0.6036 0.3327 0.5811
O19 O 0.4151 0.7229 0.2596
O20 O 0.5849 0.7229 0.7596
O21 O 0.4106 0.1170 0.3957
O22 O 0.5894 0.1170 0.8957
O23 O 0.1704 0.9426 0.1144
O24 O 0.8296 0.9426 0.6144
```

Values from the calculation:
* SG: Pc (7)
* formation enthalpy at 0 K: -1.18 eV/atom
* E (MP2020): -5.232 eV per atom
* E_tot: -4.86 eV/atom
* spin magnetization: 2.000 μB per formula unit

=====

Computed, not measured: an optimized crystal structure of MgV2C4O12 at the GGA+U level of DFT.

Geometry as CIF:
```
data_MgV2C4O12
_cell_length_a 4.4474
_cell_length_b 5.9830
_cell_length_c 7.7081
_cell_angle_alpha 92.21
_cell_angle_beta 88.47
_cell_angle_gamma 92.01
_space_group_name_H-M_alt 'P 1'
_space_group_IT_number 1
_space_group_name_Hall 'P 1'
loop_
_atom_site_label
_atom_site_type_symbol
_atom_site_fract_x
_atom_site_fract_y
_atom_site_fract_z
Mg1 Mg 0.5000 0.0000 0.5000
V1 V 0.0000 0.5000 0.5000
V2 V 0.5000 0.0000 0.0000
C1 C 0.0062 0.1294 0.7499
C2 C 0.5011 0.3580 0.2568
C3 C 0.4989 0.6420 0.7432
C4 C 0.9938 0.8706 0.2501
O1 O 0.1367 0.1951 0.6031
O2 O 0.1494 0.1359 0.8892
O3 O 0.2521 0.4544 0.2805
O4 O 0.2749 0.9392 0.2525
O5 O 0.3393 0.6920 0.6050
O6 O 0.3965 0.7009 0.8934
O7 O 0.6035 0.2991 0.1066
O8 O 0.6607 0.3080 0.3950
O9 O 0.7251 0.0608 0.7475
O10 O 0.7479 0.5456 0.7195
O11 O 0.8506 0.8641 0.1108
O12 O 0.8633 0.8049 0.3969
```

Values from the calculation:
* SG: P-1 (2)
* formation enthalpy at 0 K: -2.07 eV/atom
* E (MP2020): -8.174 eV per atom
* E_tot: -7.56 eV/atom
* spin magnetization: 0.007 μB per formula unit

=====

Computed, not measured: an optimized crystal structure of MgFe3P3O12 at the GGA+U level of DFT.

Geometry as CIF:
```
data_MgFe3P3O12
_cell_length_a 5.3065
_cell_length_b 4.9854
_cell_length_c 11.5989
_cell_angle_alpha 90.29
_cell_angle_beta 88.54
_cell_angle_gamma 118.88
_space_group_name_H-M_alt 'P 1'
_space_group_IT_number 1
_space_group_name_Hall 'P 1'
loop_
_atom_site_label
_atom_site_type_symbol
_atom_site_fract_x
_atom_site_fract_y
_atom_site_fract_z
Mg1 Mg 0.0255 0.3146 0.8960
Fe1 Fe 0.5833 0.5541 0.0342
Fe2 Fe 0.0004 0.5117 0.6403
Fe3 Fe 0.4302 0.0057 0.3225
P1 P 0.5093 0.5494 0.4924
P2 P 0.0160 0.4272 0.1645
P3 P 0.4650 0.0065 0.8501
O1 O 0.2611 0.3498 0.1436
O2 O 0.5137 0.8529 0.4555
O3 O 0.2152 0.7142 0.8012
O4 O 0.8138 0.6234 0.5247
O5 O 0.7412 0.1412 0.2097
O6 O 0.3446 0.2105 0.9049
O7 O 0.4072 0.3389 0.3843
O8 O 0.7185 0.2018 0.7661
O9 O 0.9493 0.5145 0.0415
O10 O 0.0986 0.6986 0.2468
O11 O 0.6252 0.9217 0.9441
O12 O 0.2946 0.4008 0.5941
```

Values from the calculation:
* SG: P1 (1)
* formation enthalpy at 0 K: -2.40 eV/atom
* E (MP2020): -7.805 eV per atom
* E_tot: -7.01 eV/atom
* spin magnetization: 13.001 μB per formula unit